Sb2Te3 | r²SCAN | optimized geometry

Unit cell a=8.1734 b=8.1734 c=10.5121 alpha=95.27 beta=95.27 gamma=30.21
Positions (direct):
Sb: 0.0209 0.0209 0.2899
Sb: 0.2367 0.2367 0.6789
Sb: 0.7633 0.7633 0.3211
Sb: 0.9791 0.9791 0.7101
Te: 0.1692 0.1692 0.1551
Te: 0.3610 0.3610 0.5017
Te: 0.4313 0.4313 0.1480
Te: 0.5687 0.5687 0.8520
Te: 0.6390 0.6390 0.4983
Te: 0.8308 0.8308 0.8449

Properties
Magnetic moment   0.0 μB per formula unit
Energy relative to the elements   -8.8 kJ/mol of atoms

=====

SbTe2 | r²SCAN | optimized geometry

Unit cell a=4.3575 b=4.3575 c=5.8175 alpha=90.00 beta=90.00 gamma=120.00
Positions (direct):
Sb: 0.0000 0.0000 0.0000
Te: 0.3333 0.6667 0.6942
Te: 0.6667 0.3333 0.3058

Properties
Magnetic moment   0.0 μB per formula unit
Energy relative to the elements   -2.4 kJ/mol of atoms

=====

Th2SbTe | r²SCAN | optimized geometry

Unit cell a=5.4630 b=5.4630 c=5.4630 alpha=60.00 beta=60.00 gamma=60.00
Positions (direct):
Th: 0.2500 0.2500 0.2500
Th: 0.7500 0.7500 0.7500
Sb: 0.0000 0.0000 0.0000
Te: 0.5000 0.5000 0.5000

Properties
Magnetic moment   0.0 μB per formula unit
Energy relative to the elements   -107.2 kJ/mol of atoms

=====

ThSbTe | r²SCAN | optimized geometry

Unit cell a=4.4495 b=4.4495 c=9.1788 alpha=90.00 beta=90.00 gamma=90.00
Positions (direct):
Th: 0.2500 0.2500 0.2366
Th: 0.7500 0.7500 0.7634
Sb: 0.2500 0.7500 0.5000
Sb: 0.7500 0.2500 0.5000
Te: 0.2500 0.2500 0.8698
Te: 0.7500 0.7500 0.1302

Properties
Magnetic moment   0.0 μB per formula unit
Energy relative to the elements   -117.6 kJ/mol of atoms

=====

ThSb | r²SCAN | optimized geometry

Unit cell a=4.5102 b=4.5102 c=4.5102 alpha=60.00 beta=60.00 gamma=60.00
Positions (direct):
Th: 0.0000 0.0000 0.0000
Sb: 0.5000 0.5000 0.5000

Properties
Magnetic moment   0.0 μB per formula unit
Energy relative to the elements   -104.5 kJ/mol of atoms

=====

Th3Sb4 | r²SCAN | optimized geometry

Unit cell a=8.1954 b=8.1954 c=8.1954 alpha=109.47 beta=109.47 gamma=109.47
Positions (direct):
Th: 0.1250 0.8750 0.2500
Th: 0.2500 0.1250 0.8750
Th: 0.3750 0.6250 0.7500
Th: 0.6250 0.7500 0.3750
Th: 0.7500 0.3750 0.6250
Th: 0.8750 0.2500 0.1250
Sb: 0.0000 0.1582 0.5000
Sb: 0.0000 0.6582 0.5000
Sb: 0.1582 0.5000 0.0000
Sb: 0.3418 0.3418 0.3418
Sb: 0.5000 0.0000 0.1582
Sb: 0.5000 0.0000 0.6582
Sb: 0.6582 0.5000 0.0000
Sb: 0.8418 0.8418 0.8418

Properties
Magnetic moment   0.0 μB per formula unit
Energy relative to the elements   -106.5 kJ/mol of atoms

=====

ThSb2 | r²SCAN | optimized geometry

Unit cell a=4.4075 b=4.4075 c=9.2047 alpha=90.00 beta=90.00 gamma=90.00
Positions (direct):
Th: 0.2500 0.2500 0.2226
Th: 0.7500 0.7500 0.7774
Sb: 0.2500 0.2500 0.8656
Sb: 0.2500 0.7500 0.5000
Sb: 0.7500 0.2500 0.5000
Sb: 0.7500 0.7500 0.1344

Properties
Magnetic moment   0.0 μB per formula unit
Energy relative to the elements   -89.1 kJ/mol of atoms

=====

TiSb2 | r²SCAN | optimized geometry

Unit cell a=5.5554 b=5.5554 c=5.5554 alpha=105.79 beta=105.79 gamma=117.11
Positions (direct):
Ti: 0.2500 0.2500 0.0000
Ti: 0.7500 0.7500 0.0000
Sb: 0.1520 0.6520 0.8041
Sb: 0.3480 0.1520 0.5000
Sb: 0.6520 0.8480 0.5000
Sb: 0.8480 0.3480 0.1959

Properties
Magnetic moment   0.0 μB per formula unit
Energy relative to the elements   -39.5 kJ/mol of atoms

=====

Ti2Sb | r²SCAN | optimized geometry

Unit cell a=7.8726 b=7.8726 c=7.8726 alpha=151.16 beta=151.16 gamma=41.24
Positions (direct):
Ti: 0.0000 0.5000 0.5000
Ti: 0.1710 0.1710 0.0000
Ti: 0.5000 0.0000 0.5000
Ti: 0.8290 0.8290 0.0000
Sb: 0.3597 0.3597 0.0000
Sb: 0.6403 0.6403 0.0000

Properties
Magnetic moment   0.3 μB per formula unit
Energy relative to the elements   -50.8 kJ/mol of atoms

=====

U3TiSb5 | r²SCAN | optimized geometry

Unit cell a=9.2577 b=9.2577 c=6.2078 alpha=90.00 beta=90.00 gamma=120.00
Positions (direct):
U: 0.0000 0.3870 0.2500
U: 0.0000 0.6130 0.7500
U: 0.3870 0.0000 0.2500
U: 0.3870 0.3870 0.7500
U: 0.6130 0.0000 0.7500
U: 0.6130 0.6130 0.2500
Ti: 0.0000 0.0000 0.0000
Ti: 0.0000 0.0000 0.5000
Sb: 0.0000 0.2588 0.7500
Sb: 0.0000 0.7412 0.2500
Sb: 0.2588 0.0000 0.7500
Sb: 0.2588 0.2588 0.2500
Sb: 0.3333 0.6667 0.0000
Sb: 0.3333 0.6667 0.5000
Sb: 0.6667 0.3333 0.0000
Sb: 0.6667 0.3333 0.5000
Sb: 0.7412 0.0000 0.2500
Sb: 0.7412 0.7412 0.7500

Properties
Magnetic moment   8.4 μB per formula unit
Energy relative to the elements   -66.5 kJ/mol of atoms

=====

Tl3Sb | r²SCAN | optimized geometry

Unit cell a=4.9435 b=4.9435 c=4.9435 alpha=90.00 beta=90.00 gamma=90.00
Positions (direct):
Tl: 0.0000 0.0000 0.5000
Tl: 0.0000 0.5000 0.0000
Tl: 0.5000 0.0000 0.0000
Sb: 0.5000 0.5000 0.5000

Properties
Magnetic moment   0.0 μB per formula unit
Energy relative to the elements   -0.4 kJ/mol of atoms

=====

Tm5Sb3 | r²SCAN | optimized geometry

Unit cell a=11.6820 b=9.1193 c=8.0241 alpha=90.00 beta=90.00 gamma=90.00
Positions (direct):
Tm: 0.0053 0.2500 0.0243
Tm: 0.0664 0.0601 0.6911
Tm: 0.0664 0.4399 0.6911
Tm: 0.2089 0.7500 0.3443
Tm: 0.2271 0.2500 0.3279
Tm: 0.2729 0.7500 0.8279
Tm: 0.2911 0.2500 0.8443
Tm: 0.4336 0.5601 0.1911
Tm: 0.4336 0.9399 0.1911
Tm: 0.4947 0.7500 0.5243
Tm: 0.5053 0.2500 0.4757
Tm: 0.5664 0.0601 0.8089
Tm: 0.5664 0.4399 0.8089
Tm: 0.7089 0.7500 0.1557
Tm: 0.7271 0.2500 0.1721
Tm: 0.7729 0.7500 0.6721
Tm: 0.7911 0.2500 0.6557
Tm: 0.9336 0.5601 0.3089
Tm: 0.9336 0.9399 0.3089
Tm: 0.9947 0.7500 0.9757
Sb: 0.0243 0.7500 0.5964
Sb: 0.1745 0.5093 0.0633
Sb: 0.1745 0.9907 0.0633
Sb: 0.3255 0.0093 0.5633
Sb: 0.3255 0.4907 0.5633
Sb: 0.4757 0.2500 0.0964
Sb: 0.5243 0.7500 0.9036
Sb: 0.6745 0.5093 0.4367
Sb: 0.6745 0.9907 0.4367
Sb: 0.8255 0.0093 0.9367
Sb: 0.8255 0.4907 0.9367
Sb: 0.9757 0.2500 0.4036

Properties
Offset from the most stable computed form   0.0 meV/atom
Magnetic moment   0.0 μB per formula unit
Energy relative to the elements   -96.6 kJ/mol of atoms